Record 1
Below is a relaxed TmV2O2 crystal, with properties calculated at the PBE with a Hubbard U level.

The structure in extended XYZ format:
```
20
Lattice="-2.732 -2.395 -6.818 -5.855 2.917 4.110 5.408 5.410 -1.084" Properties=species:S:1:pos:R:3 pbc="T T T"
Tm -1.771 -0.378 -5.723
Tm -1.994 3.785 -4.210
Tm -0.404 0.819 -2.314
Tm 0.933 2.326 -6.265
V 1.188 2.991 -3.436
V -4.508 2.949 -0.401
V -1.579 5.270 -1.733
V -2.156 1.606 -0.117
V 3.411 4.056 -2.277
V -6.035 0.932 -3.458
V 0.322 4.695 0.130
V -3.361 1.229 -3.879
O -0.190 4.499 -3.327
O -5.733 1.600 -1.331
O -3.339 4.832 -0.788
O -0.932 2.956 0.812
O -1.066 5.466 1.724
O -4.145 3.923 1.594
O 2.082 5.133 -0.815
O -2.519 0.632 -2.112
```

## Properties
final energy	-6.642	eV per atom
symmetry	I4_1/amd
formation enthalpy at 0 K	-105	kJ per mole of atoms

=====

Record 2
Below is a relaxed Tm6WO12 crystal, with properties calculated at the PBE with a Hubbard U level.

The structure in extended XYZ format:
```
19
Lattice="4.165 -4.851 0.000 4.165 4.851 0.000 -1.487 0.000 6.218" Properties=species:S:1:pos:R:3 pbc="T T T"
Tm 4.170 -2.264 4.236
Tm 3.658 -1.418 0.898
Tm 1.020 -0.846 3.800
Tm 5.822 0.846 2.418
Tm 3.184 1.418 5.320
Tm 2.672 2.264 1.982
W 0.000 0.000 0.000
O 2.943 -4.294 4.352
O 5.148 -3.222 0.493
O 2.557 -2.003 2.673
O 5.191 -1.225 2.549
O 0.146 -1.072 5.996
O 2.858 -0.778 5.115
O 3.984 0.778 1.103
O 6.696 1.072 0.222
O 1.651 1.225 3.670
O 4.285 2.003 3.546
O 1.694 3.222 5.725
O 3.899 4.294 1.867
```

## Properties
final energy	-8.312	eV per atom
symmetry	R-3
formation enthalpy at 0 K	-363	kJ per mole of atoms

=====

Record 3
Below is a relaxed TmWO5 crystal, with properties calculated at the PBE with a Hubbard U level.

The structure in extended XYZ format:
```
28
Lattice="4.744 0.000 -2.303 -4.622 0.000 -4.589 0.000 12.548 0.000" Properties=species:S:1:pos:R:3 pbc="T T T"
Tm -2.943 5.583 -3.938
Tm 3.065 6.964 -2.953
Tm -1.618 11.857 -4.096
Tm 1.740 0.691 -2.795
W 0.600 1.738 -6.080
W -0.478 10.809 -0.811
W -0.417 8.012 -4.257
W 0.539 4.536 -2.634
O -2.353 1.065 -2.664
O 2.475 11.483 -4.227
O -2.208 7.339 -5.370
O 2.330 5.209 -1.521
O 0.174 7.176 -5.863
O -0.052 5.371 -1.029
O 0.008 0.903 -4.475
O 0.113 11.645 -2.417
O -3.197 0.797 -5.089
O 3.319 11.750 -1.803
O -1.364 7.071 -2.946
O 1.486 5.476 -3.946
O 1.078 3.462 -5.927
O -0.956 9.086 -0.964
O -0.895 9.736 -4.410
O 1.017 2.812 -2.481
O -3.504 10.679 -4.564
O 3.626 1.869 -2.327
O -1.057 4.405 -3.470
O 1.179 8.143 -3.421
```

## Properties
final energy	-7.531	eV per atom
symmetry	P2_1/c
formation enthalpy at 0 K	-254	kJ per mole of atoms

=====

Copy entry 2 word for word.
Below is a relaxed Tm6WO12 crystal, with properties calculated at the PBE with a Hubbard U level.

The structure in extended XYZ format:
```
19
Lattice="4.165 -4.851 0.000 4.165 4.851 0.000 -1.487 0.000 6.218" Properties=species:S:1:pos:R:3 pbc="T T T"
Tm 4.170 -2.264 4.236
Tm 3.658 -1.418 0.898
Tm 1.020 -0.846 3.800
Tm 5.822 0.846 2.418
Tm 3.184 1.418 5.320
Tm 2.672 2.264 1.982
W 0.000 0.000 0.000
O 2.943 -4.294 4.352
O 5.148 -3.222 0.493
O 2.557 -2.003 2.673
O 5.191 -1.225 2.549
O 0.146 -1.072 5.996
O 2.858 -0.778 5.115
O 3.984 0.778 1.103
O 6.696 1.072 0.222
O 1.651 1.225 3.670
O 4.285 2.003 3.546
O 1.694 3.222 5.725
O 3.899 4.294 1.867
```

## Properties
final energy	-8.312	eV per atom
symmetry	R-3
formation enthalpy at 0 K	-363	kJ per mole of atoms

=====

Question: Number 2 is which compound?
Answer: Tm6WO12

=====

What did the third record say?
Below is a relaxed TmWO5 crystal, with properties calculated at the PBE with a Hubbard U level.

The structure in extended XYZ format:
```
28
Lattice="4.744 0.000 -2.303 -4.622 0.000 -4.589 0.000 12.548 0.000" Properties=species:S:1:pos:R:3 pbc="T T T"
Tm -2.943 5.583 -3.938
Tm 3.065 6.964 -2.953
Tm -1.618 11.857 -4.096
Tm 1.740 0.691 -2.795
W 0.600 1.738 -6.080
W -0.478 10.809 -0.811
W -0.417 8.012 -4.257
W 0.539 4.536 -2.634
O -2.353 1.065 -2.664
O 2.475 11.483 -4.227
O -2.208 7.339 -5.370
O 2.330 5.209 -1.521
O 0.174 7.176 -5.863
O -0.052 5.371 -1.029
O 0.008 0.903 -4.475
O 0.113 11.645 -2.417
O -3.197 0.797 -5.089
O 3.319 11.750 -1.803
O -1.364 7.071 -2.946
O 1.486 5.476 -3.946
O 1.078 3.462 -5.927
O -0.956 9.086 -0.964
O -0.895 9.736 -4.410
O 1.017 2.812 -2.481
O -3.504 10.679 -4.564
O 3.626 1.869 -2.327
O -1.057 4.405 -3.470
O 1.179 8.143 -3.421
```

## Properties
final energy	-7.531	eV per atom
symmetry	P2_1/c
formation enthalpy at 0 K	-254	kJ per mole of atoms